(1)
Here is an optimized crystal structure of FeOF from the Materials Project database. Energies are from PBE with a Hubbard U.

Unit cell a=3.098 b=7.855 c=7.757 alpha=119.27 beta=90.00 gamma=90.00
Fractional positions:
Fe1 0.750 0.137 0.444
Fe2 0.250 0.863 0.556
Fe3 0.750 0.137 0.944
Fe4 0.250 0.863 0.056
O1 0.250 0.930 0.839
O2 0.250 0.930 0.339
O3 0.750 0.070 0.161
O4 0.750 0.070 0.661
F1 0.250 0.318 0.534
F2 0.250 0.318 0.034
F3 0.750 0.682 0.466
F4 0.750 0.682 0.966

Properties
Formation energy from the elements (eV per atom): -2.08
Final energy (eV/atom): -6.059

(2)
Here is an optimized crystal structure of VOF from the Materials Project database. Energies are from PBE with a Hubbard U.

Unit cell a=3.105 b=4.748 c=18.896 alpha=89.98 beta=90.00 gamma=90.00
Fractional positions:
V1 0.000 0.963 0.125
V2 0.000 0.037 0.875
V3 0.000 0.966 0.375
V4 0.000 0.034 0.625
V5 0.500 0.500 0.000
V6 0.500 0.590 0.750
V7 0.500 0.410 0.250
V8 0.500 0.500 0.500
O1 0.500 0.778 0.075
O2 0.500 0.844 0.826
O3 0.000 0.748 0.698
O4 0.000 0.686 0.450
O5 0.000 0.252 0.302
O6 0.000 0.314 0.550
O7 0.500 0.222 0.925
O8 0.500 0.156 0.174
F1 0.500 0.763 0.324
F2 0.500 0.826 0.576
F3 0.000 0.709 0.952
F4 0.000 0.654 0.204
F5 0.000 0.291 0.048
F6 0.000 0.346 0.796
F7 0.500 0.174 0.424
F8 0.500 0.237 0.676

Properties
Formation energy from the elements (eV per atom): -2.80
Symmetry: P2/m, No. 10
Final energy (eV/atom): -7.167

(3)
Here is an optimized crystal structure of BaNbInWO6 from the Materials Project database. Energies are from PBE with a Hubbard U.

Unit cell a=5.836 b=5.836 c=5.836 alpha=60.00 beta=60.00 gamma=60.00
Fractional positions:
Ba1 0.250 0.250 0.250
Nb1 0.000 0.000 0.000
In1 0.750 0.750 0.750
W1 0.500 0.500 0.500
O1 0.752 0.248 0.248
O2 0.248 0.752 0.752
O3 0.752 0.248 0.752
O4 0.248 0.752 0.248
O5 0.752 0.752 0.248
O6 0.248 0.248 0.752

Properties
Formation energy from the elements (eV per atom): -2.42
Symmetry: F-43m, No. 216
Final energy (eV/atom): -7.307